First-principles (PBE with a Hubbard U) data for a geometry-optimized CsLaMo2O8 structure, as listed in the Materials Project.

Computed properties:
ΔH_f (0 K): -2.52 eV per atom
Spin magnetization: 0.0 μB/f.u.

Cell and atoms, written as CIF:
```
data_CsLaMo2O8
_symmetry_space_group_name_H-M 'C 1 2/c 1'
_symmetry_Int_Tables_number 15
_cell_length_a 11.157
_cell_length_b 10.992
_cell_length_c 7.995
_cell_angle_alpha 90.00
_cell_angle_beta 131.40
_cell_angle_gamma 90.00
loop_
_symmetry_equiv_pos_as_xyz
'x,y,z'
'-x,-y,-z'
'-x,y,-z+1/2'
'x,-y,z+1/2'
'x+1/2,y+1/2,z'
'-x+1/2,-y+1/2,-z'
'-x+1/2,y+1/2,-z+1/2'
'x+1/2,-y+1/2,z+1/2'
loop_
_atom_site_label
_atom_site_type_symbol
_atom_site_fract_x
_atom_site_fract_y
_atom_site_fract_z
Cs1 Cs 0.000 0.198 0.250
La1 La 0.000 0.230 0.750
Mo1 Mo 0.191 0.499 0.234
O1 O 0.025 0.396 0.974
O2 O 0.136 0.075 0.697
O3 O 0.188 0.431 0.432
O4 O 0.232 0.152 0.135
```